Entry from Materials Project: an optimized crystal structure of KHg3 (PBE).

Results
* ΔH_f (0 K): -211 meV/atom

a = 5.6618 Å, b = 5.6618 Å, c = 5.6618 Å
α = 60.00°, β = 60.00°, γ = 60.00°
Closest atoms and distances in Å follow each position.
Sites, in units of the cell vectors:
K (0.0000, 0.0000, 0.0000)  8 Hg 3.47
Hg (0.2500, 0.2500, 0.2500)  4 Hg 3.47, 4 K 3.47
Hg (0.5000, 0.5000, 0.5000)  8 Hg 3.47
Hg (0.7500, 0.7500, 0.7500)  4 Hg 3.47, 4 K 3.47

Entry from Materials Project: an optimized crystal structure of CaU3Ti8O24 (PBE).

Results
* magnetization: 0.11 μB/atom
* ΔH_f (0 K): -3582 meV/atom

a = 7.5047 Å, b = 7.8578 Å, c = 8.4575 Å
α = 98.93°, β = 111.53°, γ = 94.83°
Closest atoms and distances in Å follow each position.
Sites, in units of the cell vectors:
Ca (0.0000, 0.0000, 0.0000)  6 O 2.31-2.40
U (0.2498, 0.7516, 0.7490)  6 O 2.16-2.26
U (0.5000, 0.5000, 0.5000)  6 O 2.18-2.29
U (0.7502, 0.2484, 0.2510)  6 O 2.16-2.26
Ti (0.0649, 0.6780, 0.2798)  6 O 1.92-2.11
Ti (0.1778, 0.0778, 0.4587)  4 O 1.83-1.96
Ti (0.3167, 0.4226, 0.0334)  4 O 1.81-1.95
Ti (0.4288, 0.8274, 0.2089)  4 O 1.84-1.94
Ti (0.5712, 0.1726, 0.7911)  4 O 1.84-1.94
Ti (0.6833, 0.5774, 0.9666)  4 O 1.81-1.95
Ti (0.8222, 0.9222, 0.5413)  4 O 1.83-1.96
Ti (0.9351, 0.3220, 0.7202)  6 O 1.92-2.11
O (0.0027, 0.1549, 0.5691)  3 Ti 1.92-2.11
O (0.0305, 0.1668, 0.2734)  1 Ti 1.83
O (0.1045, 0.2554, 0.9351)  2 Ti 1.81-1.98
O (0.1461, 0.5130, 0.8053)  2 Ti 1.92-2.15
O (0.2170, 0.5948, 0.4911)  1 Ti 1.98
O (0.2499, 0.5931, 0.1878)  3 Ti 1.94-2.13
O (0.2562, 0.9065, 0.3177)  3 Ti 1.93-2.11
O (0.2953, 0.9009, 0.0078)  1 Ti 1.84
O (0.3537, 0.9927, 0.6932)  1 Ti 1.90
O (0.3949, 0.2583, 0.5567)  1 Ti 1.90
O (0.4688, 0.3407, 0.2383)  1 Ti 1.93
O (0.4934, 0.3444, 0.9328)  3 Ti 1.91-2.14
O (0.5066, 0.6556, 0.0672)  3 Ti 1.91-2.14
O (0.5312, 0.6593, 0.7617)  1 Ti 1.93
O (0.6051, 0.7417, 0.4433)  1 Ti 1.90
O (0.6463, 0.0073, 0.3068)  1 Ti 1.90
O (0.7047, 0.0991, 0.9922)  1 Ti 1.84
O (0.7438, 0.0935, 0.6823)  3 Ti 1.93-2.11
O (0.7501, 0.4069, 0.8122)  3 Ti 1.94-2.13
O (0.7830, 0.4052, 0.5089)  1 Ti 1.98
O (0.8539, 0.4870, 0.1947)  2 Ti 1.92-2.15
O (0.8955, 0.7446, 0.0649)  2 Ti 1.81-1.98
O (0.9695, 0.8332, 0.7266)  1 Ti 1.83
O (0.9973, 0.8451, 0.4309)  3 Ti 1.92-2.11

Entry from Materials Project: an optimized crystal structure of Na6CaSi2Sn3P4O24 (PBE).

Results
* magnetization: 0.00 μB/atom
* energy above the lowest structure with this stoichiometry: 0.000 kcal/mol of atoms
* ΔH_f (0 K): -2624 meV/atom

a = 9.1110 Å, b = 9.1300 Å, c = 22.4623 Å
α = 90.03°, β = 90.14°, γ = 119.80°
Closest atoms and distances in Å follow each position.
Sites, in units of the cell vectors:
Na (0.0000, 0.0000, 0.0000)  5 O 2.43-2.64
Na (0.0003, 0.3171, 0.0837)  6 O 2.45-2.68
Na (0.0277, 0.0287, 0.4896)  4 O 2.41-2.67
Na (0.0388, 0.6654, 0.2480)  6 O 2.48-2.77
Na (0.0667, 0.7275, 0.9140)  6 O 2.41-2.67
Na (0.3158, 0.3353, 0.9090)  4 O 2.31-2.50
Na (0.3245, 0.9870, 0.4038)  4 O 2.26-2.52
Na (0.3616, 0.6853, 0.8305)  6 O 2.49-2.63
Na (0.3645, 0.0465, 0.0851)  5 O 2.43-2.67
Na (0.3644, 0.6894, 0.3267)  6 O 2.43-2.60
Na (0.3816, 0.3203, 0.5837)  5 O 2.43-2.66
Na (0.3822, 0.3671, 0.2433)  5 O 2.43-2.66
Na (0.6700, 0.6559, 0.7511)  4 O 2.39-2.63
Na (0.6937, 0.3441, 0.6677)  5 O 2.38-2.64
Na (0.6947, 0.3454, 0.1637)  6 O 2.52-2.56
Na (0.7079, 0.7116, 0.4088)  4 O 2.32-2.52
Na (0.7292, 0.0514, 0.5773)  5 O 2.36-2.63
Na (0.9813, 0.6708, 0.5794)  4 O 2.32-2.59
Ca (0.0262, 0.0198, 0.8494)  6 O 2.18-2.38
Ca (0.0272, 0.0180, 0.3437)  6 O 2.17-2.36
Ca (0.6973, 0.3465, 0.5167)  6 O 2.18-2.35
Si (0.0692, 0.6831, 0.0808)  4 O 1.63-1.66
Si (0.3355, 0.3182, 0.7511)  4 O 1.58-1.68
Si (0.3367, 0.0124, 0.2495)  4 O 1.60-1.68
Si (0.3618, 0.3866, 0.0813)  4 O 1.63-1.65
Si (0.6613, 0.9745, 0.0804)  4 O 1.62-1.66
Si (0.6638, 0.6928, 0.5848)  4 O 1.61-1.68
Sn (0.0294, 0.0128, 0.1467)  6 O 2.03-2.18
Sn (0.0319, 0.0175, 0.6523)  6 O 2.01-2.17
Sn (0.3601, 0.6766, 0.6863)  6 O 1.99-2.07
Sn (0.3643, 0.6786, 0.4800)  6 O 2.04-2.12
Sn (0.3704, 0.6883, 0.1782)  6 O 1.98-2.16
Sn (0.3712, 0.6868, 0.9825)  6 O 1.99-2.21
Sn (0.6925, 0.3395, 0.8123)  6 O 2.04-2.16
Sn (0.6963, 0.3496, 0.0212)  6 O 2.02-2.08
Sn (0.6991, 0.3416, 0.3148)  6 O 2.04-2.18
P (0.0018, 0.6429, 0.4172)  4 O 1.51-1.59
P (0.0288, 0.7093, 0.7500)  4 O 1.51-1.60
P (0.0328, 0.3217, 0.2452)  4 O 1.50-1.58
P (0.0798, 0.3860, 0.5836)  4 O 1.52-1.57
P (0.3500, 0.9620, 0.5834)  4 O 1.53-1.57
P (0.4010, 0.3569, 0.4171)  4 O 1.52-1.59
P (0.4125, 0.0502, 0.9176)  4 O 1.53-1.57
P (0.6864, 0.0397, 0.4197)  4 O 1.51-1.60
P (0.6866, 0.6304, 0.9156)  4 O 1.52-1.57
P (0.7259, 0.7090, 0.2504)  4 O 1.51-1.59
P (0.7266, 0.0167, 0.7455)  4 O 1.51-1.58
P (0.9907, 0.3589, 0.9184)  4 O 1.52-1.59
O (0.0010, 0.2130, 0.1879)  1 P 1.56
O (0.0196, 0.2090, 0.9168)  1 P 1.52
O (0.0215, 0.8199, 0.4126)  1 P 1.54
O (0.0518, 0.8068, 0.8069)  1 P 1.51
O (0.0582, 0.8557, 0.0883)  1 Si 1.64
O (0.0665, 0.2462, 0.2993)  1 P 1.50
O (0.0750, 0.2123, 0.5879)  1 P 1.57
O (0.1514, 0.6417, 0.1386)  1 Si 1.63
O (0.1602, 0.5016, 0.6380)  1 P 1.54
O (0.1676, 0.5290, 0.9187)  1 P 1.59
O (0.1829, 0.6601, 0.4173)  1 P 1.58
O (0.1862, 0.6896, 0.7409)  1 P 1.55
O (0.1858, 0.9761, 0.5885)  1 P 1.57
O (0.1900, 0.1996, 0.0869)  1 Si 1.65
O (0.1905, 0.4674, 0.5270)  1 P 1.56
O (0.1907, 0.7249, 0.0214)  1 Si 1.66
O (0.1929, 0.5011, 0.2391)  1 P 1.57
O (0.2270, 0.2010, 0.4102)  1 P 1.52
O (0.2297, 0.9725, 0.3096)  1 Si 1.60
O (0.2353, 0.0310, 0.9158)  1 P 1.53
O (0.2384, 0.2461, 0.8119)  1 Si 1.58
O (0.2424, 0.0527, 0.1927)  1 Si 1.68
O (0.2443, 0.2027, 0.6897)  1 Si 1.68
O (0.3193, 0.8564, 0.5248)  1 P 1.57
O (0.3214, 0.4674, 0.0220)  1 Si 1.65
O (0.3505, 0.8410, 0.2400)  1 Si 1.65
O (0.3686, 0.5148, 0.7451)  1 Si 1.67
O (0.3715, 0.8692, 0.6366)  1 P 1.53
O (0.3923, 0.4989, 0.1411)  1 Si 1.63
O (0.3932, 0.8694, 0.9183)  1 P 1.57
O (0.3977, 0.5287, 0.4163)  1 P 1.58
O (0.4780, 0.3426, 0.4754)  1 P 1.52
O (0.4972, 0.1549, 0.9748)  1 P 1.56
O (0.5057, 0.1382, 0.5819)  1 P 1.53
O (0.5114, 0.8660, 0.4166)  1 P 1.60
O (0.5162, 0.6339, 0.9188)  1 P 1.57
O (0.5194, 0.1376, 0.8615)  1 P 1.55
O (0.5200, 0.3824, 0.3616)  1 P 1.59
O (0.5216, 0.1925, 0.2534)  1 Si 1.67
O (0.5219, 0.3519, 0.0773)  1 Si 1.64
O (0.5306, 0.3445, 0.7502)  1 Si 1.67
O (0.5315, 0.8977, 0.1358)  1 Si 1.62
O (0.5422, 0.6736, 0.2398)  1 P 1.56
O (0.5432, 0.6658, 0.6417)  1 Si 1.62
O (0.5428, 0.8645, 0.7394)  1 P 1.56
O (0.5804, 0.7272, 0.5236)  1 Si 1.67
O (0.5851, 0.8582, 0.0208)  1 Si 1.63
O (0.6640, 0.5277, 0.8567)  1 P 1.57
O (0.6650, 0.1384, 0.3659)  1 P 1.58
O (0.6828, 0.1653, 0.0762)  1 Si 1.66
O (0.6883, 0.5294, 0.5849)  1 Si 1.61
O (0.6998, 0.1241, 0.4790)  1 P 1.51
O (0.7055, 0.5353, 0.9693)  1 P 1.54
O (0.7181, 0.1810, 0.7519)  1 P 1.55
O (0.7178, 0.5311, 0.2518)  1 P 1.59
O (0.7850, 0.7962, 0.3099)  1 P 1.51
O (0.8038, 0.9708, 0.7964)  1 P 1.51
O (0.8315, 0.0031, 0.4126)  1 P 1.52
O (0.8308, 0.0432, 0.6862)  1 P 1.58
O (0.8454, 0.8031, 0.9148)  1 P 1.52
O (0.8518, 0.0035, 0.0894)  1 Si 1.63
O (0.8517, 0.8052, 0.1988)  1 P 1.56
O (0.8525, 0.8695, 0.5887)  1 Si 1.68
O (0.8654, 0.5314, 0.7516)  1 P 1.57
O (0.8767, 0.3510, 0.2517)  1 P 1.58
O (0.8840, 0.5114, 0.0767)  1 Si 1.64
O (0.8912, 0.3447, 0.9759)  1 P 1.55
O (0.9000, 0.3562, 0.5804)  1 P 1.52
O (0.9006, 0.3821, 0.8627)  1 P 1.57
O (0.9069, 0.5640, 0.4741)  1 P 1.51
O (0.9107, 0.5358, 0.3593)  1 P 1.59
O (0.9933, 0.7944, 0.6939)  1 P 1.60

Entry from Materials Project: an optimized crystal structure of Pu3I (PBE).

Results
* magnetization: 4.16 μB/atom
* energy above the lowest structure with this stoichiometry: 2.187 kcal/mol of atoms
* ΔH_f (0 K): 61 meV/atom

a = 5.7381 Å, b = 5.7381 Å, c = 5.7381 Å
α = 133.99°, β = 133.99°, γ = 67.11°
Closest atoms and distances in Å follow each position.
Sites, in units of the cell vectors:
Pu (0.0000, 0.0000, 0.0000)  4 I 3.17, 8 Pu 3.28
Pu (0.2500, 0.7500, 0.5000)  8 Pu 3.17-3.28, 4 I 3.28
Pu (0.7500, 0.2500, 0.5000)  8 Pu 3.17-3.28, 4 I 3.28
I (0.5000, 0.5000, 0.0000)  12 Pu 3.17-3.28